1.
# Eu2Nb5O9

Eu2Nb5O9 after structural relaxation (meta-GGA r2SCAN, the Materials Project database).

The formation energy comes out at -42.82 eV per formula unit. As for the symmetry: No. 123.

CIF file:
```
data_Eu2Nb5O9
_chemical_formula_sum 'Eu2 Nb5 O9'
_cell_length_a 4.1792
_cell_length_b 4.1792
_cell_length_c 12.0748
_cell_angle_alpha 90.00
_cell_angle_beta 90.00
_cell_angle_gamma 90.00
_space_group_name_H-M_alt 'P 1'
_space_group_IT_number 1
loop_
_space_group_symop_operation_xyz
'x,y,z'
loop_
_atom_site_label
_atom_site_fract_x
_atom_site_fract_y
_atom_site_fract_z
_atom_site_occupancy
Eu1 0.0000 0.0000 0.1717 1
Eu2 0.0000 0.0000 0.8283 1
Nb1 0.0000 0.5000 0.5000 1
Nb2 0.5000 0.0000 0.5000 1
Nb3 0.5000 0.5000 0.0000 1
Nb4 0.5000 0.5000 0.3358 1
Nb5 0.5000 0.5000 0.6642 1
O1 0.0000 0.0000 0.5000 1
O2 0.0000 0.5000 0.0000 1
O3 0.0000 0.5000 0.3204 1
O4 0.0000 0.5000 0.6796 1
O5 0.5000 0.0000 0.0000 1
O6 0.5000 0.0000 0.3204 1
O7 0.5000 0.0000 0.6796 1
O8 0.5000 0.5000 0.1620 1
O9 0.5000 0.5000 0.8380 1
```

=====

2.
# EuNiO3

EuNiO3 after structural relaxation (meta-GGA r2SCAN, the Materials Project database).

The formation energy comes out at -10.73 eV per formula unit. As for the symmetry: No. 62.

CIF file:
```
data_EuNiO3
_chemical_formula_sum 'Eu4 Ni4 O12'
_cell_length_a 5.3203
_cell_length_b 7.5838
_cell_length_c 5.3295
_cell_angle_alpha 90.00
_cell_angle_beta 90.00
_cell_angle_gamma 90.00
_space_group_name_H-M_alt 'P 1'
_space_group_IT_number 1
loop_
_space_group_symop_operation_xyz
'x,y,z'
loop_
_atom_site_label
_atom_site_fract_x
_atom_site_fract_y
_atom_site_fract_z
_atom_site_occupancy
Eu1 0.0360 0.2500 0.0045 1
Eu2 0.4640 0.7500 0.5045 1
Eu3 0.5360 0.2500 0.4955 1
Eu4 0.9640 0.7500 0.9955 1
Ni1 0.0000 0.0000 0.5000 1
Ni2 0.0000 0.5000 0.5000 1
Ni3 0.5000 0.0000 0.0000 1
Ni4 0.5000 0.5000 0.0000 1
O1 0.0073 0.7500 0.4346 1
O2 0.2054 0.5327 0.7941 1
O3 0.2054 0.9673 0.7941 1
O4 0.2946 0.0327 0.2941 1
O5 0.2946 0.4673 0.2941 1
O6 0.4927 0.2500 0.9346 1
O7 0.5073 0.7500 0.0654 1
O8 0.7054 0.5327 0.7059 1
O9 0.7054 0.9673 0.7059 1
O10 0.7946 0.0327 0.2059 1
O11 0.7946 0.4673 0.2059 1
O12 0.9927 0.2500 0.5654 1
```

=====

3.
# EuNi2P2

EuNi2P2 after structural relaxation (meta-GGA r2SCAN, the Materials Project database).

The formation energy comes out at -4.71 eV per formula unit. As for the symmetry: No. 139.

CIF file:
```
data_EuNi2P2
_chemical_formula_sum 'Eu1 Ni2 P2'
_cell_length_a 5.4953
_cell_length_b 5.4953
_cell_length_c 5.4953
_cell_angle_alpha 138.01
_cell_angle_beta 138.01
_cell_angle_gamma 60.89
_space_group_name_H-M_alt 'P 1'
_space_group_IT_number 1
loop_
_space_group_symop_operation_xyz
'x,y,z'
loop_
_atom_site_label
_atom_site_fract_x
_atom_site_fract_y
_atom_site_fract_z
_atom_site_occupancy
Eu1 0.0000 0.0000 0.0000 1
Ni1 0.2500 0.7500 0.5000 1
Ni2 0.7500 0.2500 0.5000 1
P1 0.3713 0.3713 0.0000 1
P2 0.6287 0.6287 0.0000 1
```

=====

4.
# EuNiP

EuNiP after structural relaxation (meta-GGA r2SCAN, the Materials Project database).

The formation energy comes out at -3.22 eV per formula unit. As for the symmetry: No. 187.

CIF file:
```
data_EuNiP
_chemical_formula_sum 'Eu1 Ni1 P1'
_cell_length_a 3.8874
_cell_length_b 3.8874
_cell_length_c 4.2698
_cell_angle_alpha 90.00
_cell_angle_beta 90.00
_cell_angle_gamma 120.00
_space_group_name_H-M_alt 'P 1'
_space_group_IT_number 1
loop_
_space_group_symop_operation_xyz
'x,y,z'
loop_
_atom_site_label
_atom_site_fract_x
_atom_site_fract_y
_atom_site_fract_z
_atom_site_occupancy
Eu1 0.0000 0.0000 0.0000 1
Ni1 0.6667 0.3333 0.5000 1
P1 0.3333 0.6667 0.5000 1
```

=====

5.
# EuNi5P3

EuNi5P3 after structural relaxation (meta-GGA r2SCAN, the Materials Project database).

The formation energy comes out at -7.16 eV per formula unit. As for the symmetry: No. 63.

CIF file:
```
data_EuNi5P3
_chemical_formula_sum 'Eu2 Ni10 P6'
_cell_length_a 6.0772
_cell_length_b 6.0772
_cell_length_c 11.4252
_cell_angle_alpha 90.00
_cell_angle_beta 90.00
_cell_angle_gamma 145.80
_space_group_name_H-M_alt 'P 1'
_space_group_IT_number 1
loop_
_space_group_symop_operation_xyz
'x,y,z'
loop_
_atom_site_label
_atom_site_fract_x
_atom_site_fract_y
_atom_site_fract_z
_atom_site_occupancy
Eu1 0.1613 0.8387 0.7500 1
Eu2 0.8387 0.1613 0.2500 1
Ni1 0.0000 0.0000 0.0000 1
Ni2 0.0000 0.0000 0.5000 1
Ni3 0.1982 0.8018 0.0680 1
Ni4 0.1982 0.8018 0.4320 1
Ni5 0.4491 0.5509 0.6448 1
Ni6 0.4491 0.5509 0.8552 1
Ni7 0.5509 0.4491 0.1448 1
Ni8 0.5509 0.4491 0.3552 1
Ni9 0.8018 0.1982 0.5680 1
Ni10 0.8018 0.1982 0.9320 1
P1 0.1169 0.8831 0.2500 1
P2 0.3814 0.6186 0.0394 1
P3 0.3814 0.6186 0.4606 1
P4 0.6186 0.3814 0.5394 1
P5 0.6186 0.3814 0.9606 1
P6 0.8831 0.1169 0.7500 1
```

=====

6.
# EuNi2Sb2

EuNi2Sb2 after structural relaxation (meta-GGA r2SCAN, the Materials Project database).

The formation energy comes out at -2.95 eV per formula unit. As for the symmetry: No. 139.

CIF file:
```
data_EuNi2Sb2
_chemical_formula_sum 'Eu1 Ni2 Sb2'
_cell_length_a 6.1999
_cell_length_b 6.1999
_cell_length_c 6.1999
_cell_angle_alpha 138.66
_cell_angle_beta 138.66
_cell_angle_gamma 59.90
_space_group_name_H-M_alt 'P 1'
_space_group_IT_number 1
loop_
_space_group_symop_operation_xyz
'x,y,z'
loop_
_atom_site_label
_atom_site_fract_x
_atom_site_fract_y
_atom_site_fract_z
_atom_site_occupancy
Eu1 0.0000 0.0000 0.0000 1
Ni1 0.2500 0.7500 0.5000 1
Ni2 0.7500 0.2500 0.5000 1
Sb1 0.3619 0.3619 0.0000 1
Sb2 0.6381 0.6381 0.0000 1
```

=====

7.
# EuSi2Ni

EuSi2Ni after structural relaxation (meta-GGA r2SCAN, the Materials Project database).

The formation energy comes out at -2.70 eV per formula unit. As for the symmetry: No. 63.

CIF file:
```
data_EuSi2Ni
_chemical_formula_sum 'Eu2 Si4 Ni2'
_cell_length_a 8.5151
_cell_length_b 8.5151
_cell_length_c 4.0143
_cell_angle_alpha 90.00
_cell_angle_beta 90.00
_cell_angle_gamma 151.66
_space_group_name_H-M_alt 'P 1'
_space_group_IT_number 1
loop_
_space_group_symop_operation_xyz
'x,y,z'
loop_
_atom_site_label
_atom_site_fract_x
_atom_site_fract_y
_atom_site_fract_z
_atom_site_occupancy
Eu1 0.1074 0.8926 0.7500 1
Eu2 0.8926 0.1074 0.2500 1
Si1 0.2499 0.7501 0.2500 1
Si2 0.4585 0.5415 0.7500 1
Si3 0.5415 0.4585 0.2500 1
Si4 0.7501 0.2499 0.7500 1
Ni1 0.3192 0.6808 0.7500 1
Ni2 0.6808 0.3192 0.2500 1
```

=====

8.
# Eu2O3

Eu2O3 after structural relaxation (meta-GGA r2SCAN, the Materials Project database).

The formation energy comes out at -15.05 eV per formula unit. As for the symmetry: No. 12.

CIF file:
```
data_Eu2O3
_chemical_formula_sum 'Eu6 O9'
_cell_length_a 7.3136
_cell_length_b 7.3136
_cell_length_c 8.8420
_cell_angle_alpha 99.74
_cell_angle_beta 99.74
_cell_angle_gamma 28.75
_space_group_name_H-M_alt 'P 1'
_space_group_IT_number 1
loop_
_space_group_symop_operation_xyz
'x,y,z'
loop_
_atom_site_label
_atom_site_fract_x
_atom_site_fract_y
_atom_site_fract_z
_atom_site_occupancy
Eu1 0.0316 0.0316 0.3154 1
Eu2 0.3099 0.3099 0.3625 1
Eu3 0.3639 0.3639 0.0106 1
Eu4 0.6361 0.6361 0.9894 1
Eu5 0.6901 0.6901 0.6375 1
Eu6 0.9684 0.9684 0.6846 1
O1 0.1251 0.1251 0.7875 1
O2 0.1733 0.1733 0.4693 1
O3 0.2095 0.2095 0.1247 1
O4 0.4713 0.4713 0.8424 1
O5 0.5000 0.5000 0.5000 1
O6 0.5287 0.5287 0.1576 1
O7 0.7905 0.7905 0.8753 1
O8 0.8267 0.8267 0.5307 1
O9 0.8749 0.8749 0.2125 1
```

=====

9.
# Eu2O3

Eu2O3 after structural relaxation (meta-GGA r2SCAN, the Materials Project database).

The formation energy comes out at -13.75 eV per formula unit. As for the symmetry: No. 2.

CIF file:
```
data_Eu2O3
_chemical_formula_sum 'Eu16 O24'
_cell_length_a 9.4097
_cell_length_b 9.4282
_cell_length_c 9.4347
_cell_angle_alpha 109.53
_cell_angle_beta 109.42
_cell_angle_gamma 109.39
_space_group_name_H-M_alt 'P 1'
_space_group_IT_number 1
loop_
_space_group_symop_operation_xyz
'x,y,z'
loop_
_atom_site_label
_atom_site_fract_x
_atom_site_fract_y
_atom_site_fract_z
_atom_site_occupancy
Eu1 0.0000 0.0000 0.0000 1
Eu2 0.0000 0.5000 0.5000 1
Eu3 0.0305 0.2798 0.7495 1
Eu4 0.2200 0.2497 0.4701 1
Eu5 0.2498 0.5299 0.2806 1
Eu6 0.2508 0.0302 0.7811 1
Eu7 0.2785 0.7491 0.0293 1
Eu8 0.4695 0.2196 0.2503 1
Eu9 0.5000 0.0000 0.5000 1
Eu10 0.5000 0.5000 0.0000 1
Eu11 0.5305 0.7804 0.7497 1
Eu12 0.7215 0.2509 0.9707 1
Eu13 0.7492 0.9698 0.2189 1
Eu14 0.7502 0.4701 0.7194 1
Eu15 0.7800 0.7503 0.5299 1
Eu16 0.9695 0.7202 0.2505 1
O1 0.0068 0.9666 0.2369 1
O2 0.0306 0.5358 0.7677 1
O3 0.0383 0.7702 0.5315 1
O4 0.2266 0.7679 0.2631 1
O5 0.2321 0.9619 0.9940 1
O6 0.2402 0.2699 0.2327 1
O7 0.2607 0.4923 0.0299 1
O8 0.2647 0.2633 0.7310 1
O9 0.2709 0.5326 0.5402 1
O10 0.4622 0.9917 0.7303 1
O11 0.4672 0.2367 0.5060 1
O12 0.4942 0.7313 0.9610 1
O13 0.5058 0.2687 0.0390 1
O14 0.5328 0.7633 0.4940 1
O15 0.5378 0.0083 0.2697 1
O16 0.7291 0.4674 0.4598 1
O17 0.7353 0.7367 0.2690 1
O18 0.7393 0.5077 0.9701 1
O19 0.7598 0.7301 0.7673 1
O20 0.7679 0.0381 0.0060 1
O21 0.7734 0.2321 0.7369 1
O22 0.9617 0.2298 0.4685 1
O23 0.9694 0.4642 0.2323 1
O24 0.9932 0.0334 0.7631 1
```

=====

10.
# Eu2O3

Eu2O3 after structural relaxation (meta-GGA r2SCAN, the Materials Project database).

The formation energy comes out at -15.11 eV per formula unit. As for the symmetry: No. 164.

CIF file:
```
data_Eu2O3
_chemical_formula_sum 'Eu2 O3'
_cell_length_a 3.7883
_cell_length_b 3.7883
_cell_length_c 5.8208
_cell_angle_alpha 90.00
_cell_angle_beta 90.00
_cell_angle_gamma 120.00
_space_group_name_H-M_alt 'P 1'
_space_group_IT_number 1
loop_
_space_group_symop_operation_xyz
'x,y,z'
loop_
_atom_site_label
_atom_site_fract_x
_atom_site_fract_y
_atom_site_fract_z
_atom_site_occupancy
Eu1 0.3333 0.6667 0.2424 1
Eu2 0.6667 0.3333 0.7576 1
O1 0.0000 0.0000 0.0000 1
O2 0.3333 0.6667 0.6511 1
O3 0.6667 0.3333 0.3489 1
```

=====

11.
# EuPO4

EuPO4 after structural relaxation (meta-GGA r2SCAN, the Materials Project database).

The formation energy comes out at -17.73 eV per formula unit. As for the symmetry: No. 14.

CIF file:
```
data_EuPO4
_chemical_formula_sum 'Eu4 P4 O16'
_cell_length_a 6.3857
_cell_length_b 6.9191
_cell_length_c 8.0733
_cell_angle_alpha 90.00
_cell_angle_beta 126.47
_cell_angle_gamma 90.00
_space_group_name_H-M_alt 'P 1'
_space_group_IT_number 1
loop_
_space_group_symop_operation_xyz
'x,y,z'
loop_
_atom_site_label
_atom_site_fract_x
_atom_site_fract_y
_atom_site_fract_z
_atom_site_occupancy
Eu1 0.1827 0.1583 0.2778 1
Eu2 0.1827 0.3417 0.7778 1
Eu3 0.8173 0.6583 0.2222 1
Eu4 0.8173 0.8417 0.7222 1
P1 0.3088 0.6628 0.1964 1
P2 0.3088 0.8372 0.6964 1
P3 0.6912 0.1628 0.3036 1
P4 0.6912 0.3372 0.8036 1
O1 0.1191 0.6647 0.6169 1
O2 0.1191 0.8353 0.1169 1
O3 0.1892 0.5053 0.2500 1
O4 0.1892 0.9947 0.7500 1
O5 0.3373 0.6038 0.0275 1
O6 0.3373 0.8962 0.5275 1
O7 0.4113 0.2125 0.1224 1
O8 0.4113 0.2875 0.6224 1
O9 0.5887 0.7125 0.3776 1
O10 0.5887 0.7875 0.8776 1
O11 0.6627 0.1038 0.4725 1
O12 0.6627 0.3962 0.9725 1
O13 0.8108 0.0053 0.2500 1
O14 0.8108 0.4947 0.7500 1
O15 0.8809 0.1647 0.8831 1
O16 0.8809 0.3353 0.3831 1
```

=====

12.
# EuPaO4

EuPaO4 after structural relaxation (meta-GGA r2SCAN, the Materials Project database).

The formation energy comes out at -22.38 eV per formula unit. As for the symmetry: No. 123.

CIF file:
```
data_EuPaO4
_chemical_formula_sum 'Eu1 Pa1 O4'
_cell_length_a 3.8113
_cell_length_b 3.8113
_cell_length_c 5.4663
_cell_angle_alpha 90.00
_cell_angle_beta 90.00
_cell_angle_gamma 90.00
_space_group_name_H-M_alt 'P 1'
_space_group_IT_number 1
loop_
_space_group_symop_operation_xyz
'x,y,z'
loop_
_atom_site_label
_atom_site_fract_x
_atom_site_fract_y
_atom_site_fract_z
_atom_site_occupancy
Eu1 0.0000 0.0000 0.0000 1
Pa1 0.5000 0.5000 0.5000 1
O1 0.0000 0.5000 0.2653 1
O2 0.0000 0.5000 0.7347 1
O3 0.5000 0.0000 0.2653 1
O4 0.5000 0.0000 0.7347 1
```